A plane-wave DFT calculation with PBE was carried out for a relaxed structure of SbPt.

Structure (extended XYZ):
```
4
Lattice="2.104 -3.644 0.000 2.104 3.644 0.000 0.000 0.000 5.589" Properties=species:S:1:pos:R:3 pbc="T T T"
Pt 0.000 0.000 2.795
Pt 0.000 0.000 0.000
Sb 2.104 -1.215 4.192
Sb 2.104 1.215 1.397
```

Calculated values
As for the formation energy: -0.415 eV per atom. The calculation puts the density at 12.28 g cm⁻³. As for the crystal system: hexagonal. The space-group type is P6_3/mmc, No. 194. Its electronic total energy is -22.1 eV for the cell shown.

A plane-wave DFT calculation with PBE was carried out for a relaxed structure of SbPtSe.

Structure (extended XYZ):
```
12
Lattice="-2.085 -3.693 4.835 5.228 -3.702 -0.573 3.112 3.744 4.202" Properties=species:S:1:pos:R:3 pbc="T T T"
Sb 5.536 -2.277 1.672
Sb 0.525 -4.210 4.541
Sb 2.573 1.448 5.469
Sb 3.876 -2.263 5.246
Pt 4.664 0.040 6.335
Pt 2.093 -3.679 6.632
Pt 0.012 -0.007 0.016
Pt 5.741 -3.656 3.945
Se 0.749 -1.363 6.788
Se 2.361 -1.378 3.194
Se 3.670 -5.088 3.023
Se 5.730 0.528 3.923
```

Calculated values
As for the formation energy: -0.584 eV per atom. The calculation puts the density at 9.88 g cm⁻³. As for the crystal system: cubic. The space-group type is P2_13, No. 198. Its electronic total energy is -59.9 eV for the cell shown.

A plane-wave DFT calculation with PBE was carried out for a relaxed structure of SiSbPt.

Structure (extended XYZ):
```
24
Lattice="6.402 0.000 0.000 0.000 6.418 0.000 0.000 0.000 11.613" Properties=species:S:1:pos:R:3 pbc="T T T"
Si 4.136 4.914 4.947
Si 5.467 1.705 4.947
Si 0.935 4.713 6.666
Si 0.935 4.914 0.859
Si 5.467 1.504 10.754
Si 4.136 4.713 10.754
Si 2.266 1.705 0.859
Si 2.266 1.504 6.666
Pt 0.075 0.760 1.237
Pt 6.327 3.969 4.570
Pt 3.276 2.449 10.376
Pt 3.276 0.760 4.570
Pt 3.126 3.969 1.237
Pt 0.075 2.449 7.043
Pt 3.126 5.658 7.043
Pt 6.327 5.658 10.376
Sb 0.747 0.040 3.801
Sb 0.747 3.169 9.607
Sb 2.454 3.249 3.801
Sb 5.655 3.249 2.006
Sb 3.948 3.169 7.812
Sb 5.655 6.378 7.812
Sb 3.948 0.040 2.006
Sb 2.454 6.378 9.607
```

Calculated values
As for the formation energy: -0.486 eV per atom. The calculation puts the density at 9.60 g cm⁻³. As for the crystal system: orthorhombic. The space-group type is Pbca, No. 61. Its electronic total energy is -136.7 eV for the cell shown.

A plane-wave DFT calculation with PBE was carried out for a relaxed structure of SnSbPt.

Structure (extended XYZ):
```
6
Lattice="3.980 0.000 0.000 0.000 5.538 0.000 0.000 0.181 6.638" Properties=species:S:1:pos:R:3 pbc="T T T"
Sn 0.000 1.234 2.419
Sn 0.000 4.485 4.219
Sb 1.990 1.778 5.762
Sb 1.990 3.940 0.876
Pt 1.990 2.859 3.319
Pt 0.000 0.000 0.000
```

Calculated values
As for the formation energy: -0.441 eV per atom. The calculation puts the density at 9.89 g cm⁻³. As for the crystal system: monoclinic. The space-group type is P2/m, No. 10. Its electronic total energy is -31.1 eV for the cell shown.

A plane-wave DFT calculation with PBE was carried out for a relaxed structure of Tb5SbPt2.

Structure (extended XYZ):
```
16
Lattice="7.952 -3.748 0.343 -0.743 -5.373 6.926 -5.364 0.526 -6.953" Properties=species:S:1:pos:R:3 pbc="T T T"
Tb 0.000 0.000 0.000
Tb 2.523 -5.167 0.366
Tb -0.261 -1.628 -5.363
Tb 1.734 -4.153 -3.351
Tb 2.107 -6.968 5.679
Tb -2.673 -0.904 -2.063
Tb -0.678 -3.429 -0.051
Tb 3.604 -4.561 3.634
Tb 4.518 -7.692 2.379
Tb 0.111 -4.443 3.667
Sb 1.802 -2.280 1.817
Sb 5.407 -6.841 5.452
Pt 1.741 -6.762 2.720
Pt 5.380 -5.068 1.238
Pt -3.535 -3.528 -0.922
Pt 0.104 -1.834 -2.404
```

Calculated values
As for the formation energy: -0.981 eV per atom. The calculation puts the density at 10.41 g cm⁻³. As for the crystal system: tetragonal. The space-group type is I4/mcm, No. 140. Its electronic total energy is -94.6 eV for the cell shown.

A plane-wave DFT calculation with PBE was carried out for a relaxed structure of TbSbPt.

Structure (extended XYZ):
```
3
Lattice="2.433 1.780 3.594 3.380 3.156 -0.790 -0.625 4.473 1.269" Properties=species:S:1:pos:R:3 pbc="T T T"
Tb 2.594 4.704 2.037
Sb 0.000 0.000 0.000
Pt 1.297 2.352 1.018
```

Calculated values
Its largest piezoelectric modulus is 0.34 C/m2. As for the formation energy: -1.216 eV per atom. The calculation puts the density at 10.82 g cm⁻³. As for the crystal system: cubic. The space-group type is F-43m, No. 216. Its electronic total energy is -18.5 eV for the cell shown.

A plane-wave DFT calculation with PBE was carried out for a relaxed structure of Tm5SbPt2.

Structure (extended XYZ):
```
16
Lattice="-0.896 3.088 8.092 -7.215 -3.936 2.876 7.036 -3.659 -3.596" Properties=species:S:1:pos:R:3 pbc="T T T"
Tm -0.209 -2.800 1.984
Tm 5.137 -1.463 1.331
Tm -6.212 -3.043 6.042
Tm 2.894 -1.698 4.364
Tm -4.056 -0.424 5.484
Tm -3.110 -1.940 8.421
Tm 2.034 -2.566 -1.049
Tm -0.867 -1.706 5.388
Tm 0.000 0.000 0.000
Tm -3.969 -2.808 3.009
Pt 0.734 -4.925 0.162
Pt 2.197 -1.256 1.528
Pt -1.809 0.419 7.210
Pt -3.272 -3.251 5.845
Sb -6.083 -0.635 8.226
Sb -2.028 -0.212 2.742
```

Calculated values
As for the formation energy: -1.014 eV per atom. The calculation puts the density at 11.32 g cm⁻³. As for the crystal system: tetragonal. The space-group type is I4/mcm, No. 140. Its electronic total energy is -93.5 eV for the cell shown.

A plane-wave DFT calculation with PBE was carried out for a relaxed structure of Zr6Sb2Pt.

Structure (extended XYZ):
```
9
Lattice="-3.575 0.679 -0.750 1.646 7.657 -0.917 0.370 -4.881 -6.182" Properties=species:S:1:pos:R:3 pbc="T T T"
Sb -0.566 3.817 -3.047
Sb -0.992 -0.362 -4.802
Zr 0.150 -1.976 -2.502
Zr -1.511 -3.312 -5.000
Zr -1.279 1.039 -2.164
Zr 1.200 1.653 -4.226
Zr 0.666 3.099 -0.371
Zr -0.556 6.067 -1.061
Pt 0.000 0.000 0.000
```

Calculated values
As for the formation energy: -0.722 eV per atom. The calculation puts the density at 8.18 g cm⁻³. As for the crystal system: hexagonal. The space-group type is P-62m, No. 189. Its electronic total energy is -72.1 eV for the cell shown.

Repeat the eighth record exactly.
A plane-wave DFT calculation with PBE was carried out for a relaxed structure of Zr6Sb2Pt.

Structure (extended XYZ):
```
9
Lattice="-3.575 0.679 -0.750 1.646 7.657 -0.917 0.370 -4.881 -6.182" Properties=species:S:1:pos:R:3 pbc="T T T"
Sb -0.566 3.817 -3.047
Sb -0.992 -0.362 -4.802
Zr 0.150 -1.976 -2.502
Zr -1.511 -3.312 -5.000
Zr -1.279 1.039 -2.164
Zr 1.200 1.653 -4.226
Zr 0.666 3.099 -0.371
Zr -0.556 6.067 -1.061
Pt 0.000 0.000 0.000
```

Calculated values
As for the formation energy: -0.722 eV per atom. The calculation puts the density at 8.18 g cm⁻³. As for the crystal system: hexagonal. The space-group type is P-62m, No. 189. Its electronic total energy is -72.1 eV for the cell shown.